Record 1
Computed, not measured: a relaxed Tl3SnI5 crystal at the GGA-PBE level of DFT.

Lattice parameters (Å, degrees): 9.111 9.877 16.501 90.00 90.00 90.00
Element x y z (fractional)
Tl1 0.061 0.088 0.213
Tl2 0.085 0.169 0.525
Tl3 0.225 0.707 0.447
Tl4 0.275 0.293 0.947
Tl5 0.415 0.831 0.025
Tl6 0.439 0.912 0.713
Tl7 0.561 0.412 0.787
Tl8 0.585 0.331 0.475
Tl9 0.725 0.793 0.553
Tl10 0.775 0.207 0.053
Tl11 0.915 0.669 0.975
Tl12 0.939 0.588 0.287
Sn1 0.077 0.559 0.702
Sn2 0.423 0.441 0.202
Sn3 0.577 0.941 0.298
Sn4 0.923 0.059 0.798
I1 0.076 0.996 0.977
I2 0.086 0.848 0.634
I3 0.102 0.448 0.110
I4 0.225 0.204 0.726
I5 0.238 0.349 0.350
I6 0.262 0.651 0.850
I7 0.275 0.796 0.226
I8 0.398 0.552 0.610
I9 0.414 0.152 0.134
I10 0.424 0.004 0.477
I11 0.576 0.504 0.023
I12 0.586 0.652 0.366
I13 0.602 0.052 0.890
I14 0.725 0.296 0.274
I15 0.738 0.151 0.650
I16 0.762 0.849 0.150
I17 0.775 0.704 0.774
I18 0.898 0.948 0.390
I19 0.914 0.348 0.866
I20 0.924 0.496 0.523

Values from the calculation:
ΔH_f (0 K): -0.82 eV/atom
SG: No. 19
Raw total energy: -96.65 eV for the cell shown
Crystal system: orthorhombic



Record 2
Computed, not measured: a relaxed Sr2CoN2 crystal at the GGA-PBE level of DFT.

Lattice parameters (Å, degrees): 6.766 6.766 6.766 146.83 146.83 47.61
Element x y z (fractional)
Sr1 0.144 0.144 0.000
Sr2 0.856 0.856 0.000
Co1 0.500 0.500 0.000
N1 0.361 0.361 0.000
N2 0.639 0.639 0.000

Values from the calculation:
ΔH_f (0 K): -0.64 eV/atom
SG: No. 139
Raw total energy: -29.64 eV for the cell shown
Crystal system: tetragonal



Record 3
Computed, not measured: a relaxed InGa2N3 crystal at the GGA-PBE level of DFT.

Lattice parameters (Å, degrees): 5.777 5.777 5.390 90.00 90.00 59.95
Element x y z (fractional)
In1 0.175 0.825 0.500
In2 0.825 0.175 0.000
Ga1 0.166 0.493 0.003
Ga2 0.493 0.166 0.503
Ga3 0.507 0.834 0.003
Ga4 0.834 0.507 0.503
N1 0.166 0.473 0.369
N2 0.193 0.807 0.906
N3 0.473 0.166 0.869
N4 0.527 0.834 0.369
N5 0.807 0.193 0.406
N6 0.834 0.527 0.869

Values from the calculation:
ΔH_f (0 K): -0.45 eV/atom
SG: No. 36
Raw total energy: -70.88 eV for the cell shown
Crystal system: orthorhombic



Record 4
Computed, not measured: a relaxed Tl2NiSe2 crystal at the GGA-PBE level of DFT.

Lattice parameters (Å, degrees): 7.318 7.318 7.318 142.04 142.04 54.77
Element x y z (fractional)
Tl1 0.250 0.750 0.500
Tl2 0.750 0.250 0.500
Ni1 0.000 0.000 0.000
Se1 0.405 0.405 0.000
Se2 0.595 0.595 0.000

Values from the calculation:
ΔH_f (0 K): 0.41 eV/atom
SG: No. 139
Raw total energy: -14.52 eV for the cell shown
Crystal system: tetragonal